Computed, not measured: CsSrI3 after structural relaxation at the PBE level of DFT.

Symmetry: Cmcm (63)

Unit cell a=8.584 b=8.584 c=12.394 alpha=90.00 beta=90.00 gamma=146.83
Positions (direct):
Cs: 0.250 0.750 0.750
Cs: 0.750 0.250 0.250
Sr: 0.000 0.000 0.000
Sr: 0.000 0.000 0.500
I: 0.068 0.932 0.250
I: 0.368 0.632 0.051
I: 0.368 0.632 0.449
I: 0.632 0.368 0.551
I: 0.632 0.368 0.949
I: 0.932 0.068 0.750

---

Computed, not measured: CsSr2I5 after structural relaxation at the PBE level of DFT.

Symmetry: P2_1/c (14)

Unit cell a=10.349 b=9.327 c=14.728 alpha=90.00 beta=90.36 gamma=90.00
Positions (direct):
Cs: 0.001 0.038 0.328
Cs: 0.001 0.462 0.828
Cs: 0.999 0.538 0.172
Cs: 0.999 0.962 0.672
Sr: 0.256 0.573 0.493
Sr: 0.256 0.927 0.993
Sr: 0.497 0.522 0.181
Sr: 0.497 0.978 0.681
Sr: 0.503 0.022 0.319
Sr: 0.503 0.478 0.819
Sr: 0.744 0.073 0.007
Sr: 0.744 0.427 0.507
I: 0.037 0.164 0.080
I: 0.037 0.336 0.580
I: 0.283 0.693 0.713
I: 0.283 0.807 0.213
I: 0.289 0.163 0.819
I: 0.289 0.337 0.319
I: 0.293 0.548 0.995
I: 0.293 0.952 0.495
I: 0.457 0.159 0.100
I: 0.457 0.341 0.600
I: 0.543 0.659 0.400
I: 0.543 0.841 0.900
I: 0.707 0.048 0.505
I: 0.707 0.452 0.005
I: 0.711 0.663 0.681
I: 0.711 0.837 0.181
I: 0.717 0.193 0.787
I: 0.717 0.307 0.287
I: 0.963 0.664 0.420
I: 0.963 0.836 0.920

---

Computed, not measured: CsSrI3 after structural relaxation at the PBE level of DFT.

Symmetry: Cm (8)

Unit cell a=6.472 b=6.472 c=6.465 alpha=90.09 beta=90.09 gamma=89.99
Positions (direct):
Cs: 0.000 0.000 0.000
Sr: 0.496 0.496 0.518
I: 0.503 0.999 0.514
I: 0.514 0.514 0.017
I: 0.999 0.503 0.514

---

Computed, not measured: CsTaI6 after structural relaxation at the PBE level of DFT.

Symmetry: C2/c (15)

Unit cell a=7.986 b=7.986 c=14.382 alpha=100.18 beta=100.18 gamma=55.50
Positions (direct):
Cs: 0.089 0.911 0.750
Cs: 0.911 0.089 0.250
Ta: 0.000 0.500 0.000
Ta: 0.500 0.000 0.500
I: 0.095 0.208 0.534
I: 0.195 0.378 0.836
I: 0.208 0.095 0.034
I: 0.316 0.525 0.102
I: 0.378 0.195 0.336
I: 0.475 0.684 0.398
I: 0.525 0.316 0.602
I: 0.622 0.805 0.664
I: 0.684 0.475 0.898
I: 0.792 0.905 0.966
I: 0.805 0.622 0.164
I: 0.905 0.792 0.466

---

Computed, not measured: Cs2TcI6 after structural relaxation at the PBE level of DFT.

Symmetry: Fm-3m (225)

Unit cell a=8.375 b=8.375 c=8.375 alpha=60.00 beta=60.00 gamma=60.00
Positions (direct):
Cs: 0.250 0.250 0.250
Cs: 0.750 0.750 0.750
Tc: 0.000 0.000 0.000
I: 0.233 0.233 0.767
I: 0.233 0.767 0.233
I: 0.233 0.767 0.767
I: 0.767 0.233 0.233
I: 0.767 0.233 0.767
I: 0.767 0.767 0.233

---

Computed, not measured: CsTiI3 after structural relaxation at the PBE level of DFT.

Symmetry: P6_3/mmc (194)

Unit cell a=8.343 b=8.343 c=6.996 alpha=90.00 beta=90.00 gamma=120.00
Positions (direct):
Cs: 0.333 0.667 0.250
Cs: 0.667 0.333 0.750
Ti: 0.000 0.000 0.000
Ti: 0.000 0.000 0.500
I: 0.159 0.317 0.750
I: 0.159 0.841 0.750
I: 0.317 0.159 0.250
I: 0.683 0.841 0.750
I: 0.841 0.159 0.250
I: 0.841 0.683 0.250

---

Computed, not measured: Cs3TlI6 after structural relaxation at the PBE level of DFT.

Symmetry: Fm-3m (225)

Unit cell a=9.375 b=9.375 c=9.375 alpha=60.00 beta=60.00 gamma=60.00
Positions (direct):
Cs: 0.000 0.000 0.000
Cs: 0.250 0.250 0.250
Cs: 0.750 0.750 0.750
Tl: 0.500 0.500 0.500
I: 0.272 0.272 0.728
I: 0.272 0.728 0.272
I: 0.272 0.728 0.728
I: 0.728 0.272 0.272
I: 0.728 0.272 0.728
I: 0.728 0.728 0.272

---

Computed, not measured: CsTlI4 after structural relaxation at the PBE level of DFT.

Symmetry: P2_1/c (14)

Unit cell a=7.655 b=19.469 c=8.845 alpha=90.00 beta=105.70 gamma=90.00
Positions (direct):
Cs: 0.190 0.128 0.291
Cs: 0.190 0.372 0.791
Cs: 0.810 0.628 0.209
Cs: 0.810 0.872 0.709
Tl: 0.189 0.629 0.796
Tl: 0.189 0.871 0.296
Tl: 0.811 0.129 0.704
Tl: 0.811 0.371 0.204
I: 0.189 0.161 0.796
I: 0.189 0.339 0.296
I: 0.271 0.550 0.078
I: 0.271 0.950 0.578
I: 0.276 0.549 0.560
I: 0.276 0.951 0.060
I: 0.369 0.744 0.368
I: 0.369 0.756 0.868
I: 0.631 0.244 0.132
I: 0.631 0.256 0.632
I: 0.724 0.049 0.940
I: 0.724 0.451 0.440
I: 0.729 0.050 0.422
I: 0.729 0.450 0.922
I: 0.811 0.661 0.704
I: 0.811 0.839 0.204

---

Computed, not measured: CsTlI3 after structural relaxation at the PBE level of DFT.

Symmetry: Fm-3m (225)

Unit cell a=8.931 b=8.931 c=8.931 alpha=60.00 beta=60.00 gamma=60.00
Positions (direct):
Cs: 0.250 0.250 0.250
Cs: 0.750 0.750 0.750
Tl: 0.000 0.000 0.000
Tl: 0.500 0.500 0.500
I: 0.242 0.242 0.758
I: 0.242 0.758 0.242
I: 0.242 0.758 0.758
I: 0.758 0.242 0.242
I: 0.758 0.242 0.758
I: 0.758 0.758 0.242

---

Computed, not measured: Cs3YI6 after structural relaxation at the PBE level of DFT.

Symmetry: Fm-3m (225)

Unit cell a=9.431 b=9.431 c=9.431 alpha=60.00 beta=60.00 gamma=60.00
Positions (direct):
Cs: 0.000 0.000 0.000
Cs: 0.250 0.250 0.250
Cs: 0.750 0.750 0.750
Y: 0.500 0.500 0.500
I: 0.273 0.273 0.727
I: 0.273 0.727 0.273
I: 0.273 0.727 0.727
I: 0.727 0.273 0.273
I: 0.727 0.273 0.727
I: 0.727 0.727 0.273

---

Computed, not measured: CsZr6I14 after structural relaxation at the PBE level of DFT.

Symmetry: Cmce (64)

Unit cell a=11.122 b=11.122 c=13.358 alpha=90.00 beta=90.00 gamma=86.54
Positions (direct):
Cs: 0.000 0.000 0.000
Cs: 0.500 0.500 0.500
Zr: 0.048 0.179 0.615
Zr: 0.106 0.894 0.578
Zr: 0.179 0.048 0.385
Zr: 0.321 0.452 0.885
Zr: 0.394 0.606 0.078
Zr: 0.452 0.321 0.115
Zr: 0.548 0.679 0.885
Zr: 0.606 0.394 0.922
Zr: 0.679 0.548 0.115
Zr: 0.821 0.952 0.615
Zr: 0.894 0.106 0.422
Zr: 0.952 0.821 0.385
I: 0.033 0.209 0.260
I: 0.105 0.395 0.750
I: 0.107 0.650 0.494
I: 0.150 0.607 0.994
I: 0.151 0.849 0.241
I: 0.209 0.033 0.740
I: 0.245 0.245 0.000
I: 0.255 0.255 0.500
I: 0.291 0.467 0.240
I: 0.349 0.651 0.741
I: 0.350 0.893 0.494
I: 0.393 0.850 0.994
I: 0.395 0.105 0.250
I: 0.467 0.291 0.760
I: 0.533 0.709 0.240
I: 0.605 0.895 0.750
I: 0.607 0.150 0.006
I: 0.650 0.107 0.506
I: 0.651 0.349 0.259
I: 0.709 0.533 0.760
I: 0.745 0.745 0.500
I: 0.755 0.755 0.000
I: 0.791 0.967 0.260
I: 0.849 0.151 0.759
I: 0.850 0.393 0.006
I: 0.893 0.350 0.506
I: 0.895 0.605 0.250
I: 0.967 0.791 0.740

---

Computed, not measured: Cs3Zr2I9 after structural relaxation at the PBE level of DFT.

Symmetry: P6_3/mmc (194)

Unit cell a=8.603 b=8.603 c=20.543 alpha=90.00 beta=90.00 gamma=120.00
Positions (direct):
Cs: 0.000 0.000 0.250
Cs: 0.000 0.000 0.750
Cs: 0.333 0.667 0.067
Cs: 0.333 0.667 0.433
Cs: 0.667 0.333 0.567
Cs: 0.667 0.333 0.933
Zr: 0.333 0.667 0.672
Zr: 0.333 0.667 0.828
Zr: 0.667 0.333 0.172
Zr: 0.667 0.333 0.328
I: 0.000 0.500 0.250
I: 0.000 0.500 0.750
I: 0.172 0.345 0.591
I: 0.172 0.345 0.909
I: 0.172 0.828 0.591
I: 0.172 0.828 0.909
I: 0.345 0.172 0.091
I: 0.345 0.172 0.409
I: 0.500 0.000 0.250
I: 0.500 0.000 0.750
I: 0.500 0.500 0.250
I: 0.500 0.500 0.750
I: 0.655 0.828 0.591
I: 0.655 0.828 0.909
I: 0.828 0.172 0.091
I: 0.828 0.172 0.409
I: 0.828 0.655 0.091
I: 0.828 0.655 0.409

---

Computed, not measured: CsIn3 after structural relaxation at the PBE level of DFT.

Symmetry: I-4m2 (119)

Unit cell a=10.001 b=10.001 c=10.001 alpha=137.49 beta=137.49 gamma=61.68
Positions (direct):
Cs: 0.000 0.000 0.000
Cs: 0.128 0.628 0.500
Cs: 0.372 0.872 0.500
In: 0.014 0.221 0.793
In: 0.088 0.391 0.697
In: 0.428 0.221 0.207
In: 0.500 0.500 0.000
In: 0.609 0.306 0.697
In: 0.609 0.912 0.303
In: 0.694 0.391 0.303
In: 0.779 0.572 0.793
In: 0.779 0.986 0.207

---

Computed, not measured: Cs2In3 after structural relaxation at the PBE level of DFT.

Symmetry: I-4m2 (119)

Unit cell a=9.851 b=9.851 c=9.851 alpha=137.75 beta=137.75 gamma=61.29
Positions (direct):
Cs: 0.000 0.000 0.000
Cs: 0.500 0.500 0.000
Cs: 0.638 0.138 0.500
Cs: 0.862 0.362 0.500
In: 0.109 0.609 0.500
In: 0.256 0.050 0.794
In: 0.256 0.462 0.206
In: 0.391 0.891 0.500
In: 0.538 0.744 0.794
In: 0.950 0.744 0.206

---

Computed, not measured: Cs3Mg3InP12O36 after structural relaxation at the PBE level of DFT.

Symmetry: Cm (8)

Unit cell a=9.664 b=9.664 c=12.648 alpha=121.58 beta=121.58 gamma=62.88
Positions (direct):
Cs: 0.000 0.000 0.000
Cs: 0.214 0.793 0.493
Cs: 0.793 0.214 0.493
Mg: 0.253 0.253 0.422
Mg: 0.756 0.756 0.574
Mg: 0.800 0.800 0.093
In: 0.210 0.210 0.906
P: 0.166 0.586 0.695
P: 0.201 0.614 0.133
P: 0.242 0.242 0.667
P: 0.337 0.337 0.231
P: 0.402 0.804 0.866
P: 0.425 0.842 0.303
P: 0.586 0.166 0.695
P: 0.614 0.201 0.133
P: 0.675 0.675 0.770
P: 0.768 0.768 0.327
P: 0.804 0.402 0.866
P: 0.842 0.425 0.303
O: 0.002 0.298 0.290
O: 0.007 0.714 0.707
O: 0.057 0.760 0.160
O: 0.175 0.175 0.712
O: 0.176 0.479 0.994
O: 0.184 0.184 0.518
O: 0.186 0.442 0.736
O: 0.201 0.507 0.569
O: 0.232 0.232 0.096
O: 0.250 0.945 0.834
O: 0.281 0.526 0.241
O: 0.298 0.002 0.290
O: 0.330 0.654 0.823
O: 0.344 0.344 0.354
O: 0.352 0.682 0.173
O: 0.442 0.186 0.736
O: 0.479 0.176 0.994
O: 0.479 0.732 0.754
O: 0.502 0.809 0.428
O: 0.507 0.201 0.569
O: 0.526 0.281 0.241
O: 0.536 0.831 0.002
O: 0.568 0.815 0.258
O: 0.654 0.330 0.823
O: 0.669 0.669 0.647
O: 0.682 0.352 0.173
O: 0.714 0.007 0.707
O: 0.732 0.479 0.754
O: 0.760 0.057 0.160
O: 0.776 0.776 0.907
O: 0.809 0.502 0.428
O: 0.815 0.568 0.258
O: 0.824 0.824 0.476
O: 0.831 0.536 0.002
O: 0.831 0.831 0.279
O: 0.945 0.250 0.834

---

no.,E_tot (eV/atom)
1,-3.098
2,-3.156
3,-3.066
4,-3.477
5,-3.157
6,-3.711
7,-2.393
8,-2.301
9,-2.420
10,-3.301
11,-4.418
12,-3.614
13,-2.416
14,-2.156
15,-6.903